Compound: ErNbO4
Source: the Materials Project
Functional: PBE
Structure: optimized geometry

POSCAR file:
```
ErNbO4
1.0
5.806 0.000 0.000
0.000 5.087 0.000
0.000 0.327 5.298
Er Nb O
2 2 8
Direct
0.204 0.000 0.750 Er
0.796 0.000 0.250 Er
0.683 0.500 0.750 Nb
0.317 0.500 0.250 Nb
0.889 0.241 0.895 O
0.406 0.284 0.960 O
0.406 0.716 0.540 O
0.889 0.759 0.605 O
0.111 0.241 0.395 O
0.594 0.284 0.460 O
0.594 0.716 0.040 O
0.111 0.759 0.105 O
```

Properties
theoretical density: 6.9 Mg/m³
crystal system: monoclinic
energy of formation from the pure elements: -3.55 eV per atom
SG: P2/c, No. 13

=====

Compound: ErNbO4
Source: the Materials Project
Functional: PBE
Structure: optimized geometry

POSCAR file:
```
ErNbO4
1.0
5.516 3.562 0.000
-5.516 3.562 0.000
0.000 3.438 3.808
Er Nb O
2 2 8
Direct
0.628 0.372 0.750 Er
0.372 0.628 0.250 Er
0.109 0.891 0.750 Nb
0.891 0.109 0.250 Nb
0.781 0.716 0.206 O
0.284 0.219 0.294 O
0.219 0.284 0.794 O
0.716 0.781 0.706 O
0.374 0.951 0.840 O
0.049 0.626 0.660 O
0.626 0.049 0.160 O
0.951 0.374 0.340 O
```

Properties
theoretical density: 7.2 Mg/m³
crystal system: monoclinic
energy of formation from the pure elements: -3.58 eV per atom
SG: C2/c, No. 15

=====

Compound: Er2Nb2O7
Source: the Materials Project
Functional: PBE
Structure: optimized geometry

POSCAR file:
```
Er2Nb2O7
1.0
0.000 5.155 5.155
5.155 0.000 5.155
5.155 5.155 0.000
Er Nb O
4 4 14
Direct
0.125 0.125 0.125 Er
0.125 0.125 0.625 Er
0.625 0.125 0.125 Er
0.125 0.625 0.125 Er
0.625 0.125 0.625 Nb
0.625 0.625 0.125 Nb
0.125 0.625 0.625 Nb
0.625 0.625 0.625 Nb
0.973 0.527 0.973 O
0.250 0.250 0.250 O
0.723 0.277 0.723 O
0.723 0.723 0.277 O
0.277 0.723 0.723 O
0.973 0.973 0.527 O
0.527 0.973 0.973 O
0.973 0.527 0.527 O
0.527 0.527 0.973 O
0.723 0.277 0.277 O
0.277 0.277 0.723 O
0.000 0.000 0.000 O
0.277 0.723 0.277 O
0.527 0.973 0.527 O
```

Properties
theoretical density: 7.7 Mg/m³
crystal system: cubic
energy of formation from the pure elements: -3.40 eV per atom
SG: Fd-3m, No. 227

=====

Compound: ErNbO2
Source: the Materials Project
Functional: PBE
Structure: optimized geometry

POSCAR file:
```
ErNbO2
1.0
7.142 0.092 -0.833
2.110 6.356 2.619
-4.141 -5.016 3.066
Er Nb O
4 4 8
Direct
0.875 0.625 0.250 Er
0.375 0.625 0.750 Er
0.375 0.625 0.250 Er
0.375 0.125 0.750 Er
0.375 0.125 0.250 Nb
0.875 0.125 0.750 Nb
0.875 0.125 0.250 Nb
0.875 0.625 0.750 Nb
0.175 0.413 0.238 O
0.175 0.937 0.762 O
0.163 0.425 0.738 O
0.575 0.837 0.262 O
0.687 0.425 0.262 O
0.575 0.313 0.738 O
0.587 0.825 0.762 O
0.063 0.825 0.238 O
```

Properties
theoretical density: 8.9 Mg/m³
crystal system: tetragonal
energy of formation from the pure elements: -2.47 eV per atom
SG: I4_1/amd, No. 141

=====

Compound: Er2Nb2S7O30
Source: the Materials Project
Functional: PBE
Structure: optimized geometry

POSCAR file:
```
Er2Nb2S7O30
1.0
12.797 0.000 0.000
0.000 12.797 0.000
0.000 0.000 7.108
Er Nb S O
4 4 14 60
Direct
0.199 0.301 0.408 Er
0.301 0.801 0.592 Er
0.801 0.699 0.408 Er
0.699 0.199 0.592 Er
0.361 0.139 0.020 Nb
0.139 0.639 0.980 Nb
0.639 0.861 0.020 Nb
0.861 0.361 0.980 Nb
0.500 0.000 0.654 S
0.000 0.500 0.346 S
0.624 0.124 0.108 S
0.876 0.624 0.892 S
0.376 0.876 0.108 S
0.124 0.376 0.892 S
0.436 0.323 0.697 S
0.064 0.823 0.303 S
0.564 0.677 0.697 S
0.936 0.177 0.303 S
0.323 0.564 0.303 S
0.177 0.064 0.697 S
0.677 0.436 0.303 S
0.823 0.936 0.697 S
0.296 0.204 0.210 O
0.204 0.704 0.790 O
0.704 0.796 0.210 O
0.796 0.296 0.790 O
0.432 0.932 0.539 O
0.068 0.432 0.461 O
0.568 0.068 0.539 O
0.932 0.568 0.461 O
0.433 0.067 0.776 O
0.067 0.567 0.224 O
0.567 0.933 0.776 O
0.933 0.433 0.224 O
0.656 0.156 0.921 O
0.844 0.656 0.079 O
0.344 0.844 0.921 O
0.156 0.344 0.079 O
0.677 0.177 0.263 O
0.823 0.677 0.737 O
0.323 0.823 0.263 O
0.177 0.323 0.737 O
0.508 0.143 0.133 O
0.992 0.643 0.867 O
0.492 0.857 0.133 O
0.008 0.357 0.867 O
0.143 0.492 0.867 O
0.357 0.992 0.133 O
0.857 0.508 0.867 O
0.643 0.008 0.133 O
0.368 0.288 0.542 O
0.132 0.788 0.458 O
0.632 0.712 0.542 O
0.868 0.212 0.458 O
0.288 0.632 0.458 O
0.212 0.132 0.542 O
0.712 0.368 0.458 O
0.788 0.868 0.542 O
0.544 0.289 0.670 O
0.956 0.789 0.330 O
0.456 0.711 0.670 O
0.044 0.211 0.330 O
0.289 0.456 0.330 O
0.211 0.956 0.670 O
0.711 0.544 0.330 O
0.789 0.044 0.670 O
0.426 0.436 0.724 O
0.074 0.936 0.276 O
0.574 0.564 0.724 O
0.926 0.064 0.276 O
0.436 0.574 0.276 O
0.064 0.074 0.724 O
0.564 0.426 0.276 O
0.936 0.926 0.724 O
0.395 0.271 0.878 O
0.105 0.771 0.122 O
0.605 0.729 0.878 O
0.895 0.229 0.122 O
0.271 0.605 0.122 O
0.229 0.105 0.878 O
0.729 0.395 0.122 O
0.771 0.895 0.878 O
```

Properties
theoretical density: 3.5 Mg/m³
crystal system: tetragonal
energy of formation from the pure elements: -2.26 eV per atom
SG: P-42_1m, No. 113

=====

Compound: NdEr3S6
Source: the Materials Project
Functional: PBE
Structure: optimized geometry

POSCAR file:
```
NdEr3S6
1.0
-3.876 -0.731 0.422
1.461 -10.137 -4.134
2.258 -7.084 8.483
Nd Er S
2 6 12
Direct
0.750 0.548 0.806 Nd
0.250 0.452 0.194 Nd
0.750 0.180 0.998 Er
0.250 0.820 0.002 Er
0.750 0.938 0.667 Er
0.250 0.062 0.333 Er
0.750 0.661 0.414 Er
0.250 0.339 0.586 Er
0.750 0.977 0.888 S
0.250 0.023 0.112 S
0.750 0.305 0.748 S
0.250 0.695 0.252 S
0.750 0.896 0.439 S
0.250 0.104 0.561 S
0.750 0.418 0.406 S
0.250 0.582 0.594 S
0.750 0.237 0.227 S
0.250 0.763 0.773 S
0.750 0.618 0.036 S
0.250 0.382 0.964 S
```

Properties
theoretical density: 5.9 Mg/m³
crystal system: monoclinic
energy of formation from the pure elements: -2.38 eV per atom
SG: P2_1/m, No. 11